# 1
A plane-wave DFT calculation with PBE was carried out for a geometry-optimized LiMg6Ni structure.

Cell lengths 4.868, 6.250, 10.489 Å; angles 90.00, 90.00, 90.00 degrees
Atoms (fractional coordinates):
Mg (0.500, 0.250, 0.584)
Mg (0.000, 0.500, 0.175)
Mg (0.500, 0.750, 0.084)
Mg (0.000, 0.500, 0.669)
Ni (0.500, 0.000, 0.834)
Mg (0.000, 0.000, 0.169)
Mg (0.000, 0.261, 0.410)
Mg (0.000, 0.739, 0.410)
Li (0.500, 0.000, 0.334)
Mg (0.500, 0.250, 0.084)
Mg (0.000, 0.239, 0.910)
Mg (0.000, 0.761, 0.910)
Li (0.500, 0.500, 0.834)
Ni (0.500, 0.500, 0.334)
Mg (0.500, 0.750, 0.584)
Mg (0.000, 0.000, 0.675)

Output
energy: -2.14 eV per atom
ΔH_f (0 K): 0.2 eV per formula unit
distance to the lowest polymorph of the same formula: 0.00 kcal/mol of atoms
mass density: 2.20 Mg/m³

=====

# 2
A plane-wave DFT calculation with PBE was carried out for a geometry-optimized LiMg14Ni structure.

Cell lengths 6.335, 6.335, 9.754 Å; angles 90.00, 90.00, 120.00 degrees
Atoms (fractional coordinates):
Li (0.000, 0.000, 0.000)
Mg (0.003, 0.501, 0.000)
Mg (0.160, 0.319, 0.258)
Mg (0.160, 0.319, 0.742)
Mg (0.160, 0.840, 0.258)
Mg (0.160, 0.840, 0.742)
Mg (0.499, 0.501, 0.000)
Mg (0.499, 0.997, 0.000)
Mg (0.501, 0.003, 0.500)
Mg (0.501, 0.499, 0.500)
Mg (0.667, 0.333, 0.247)
Mg (0.667, 0.333, 0.753)
Mg (0.681, 0.840, 0.258)
Mg (0.681, 0.840, 0.742)
Mg (0.997, 0.499, 0.500)
Ni (0.000, 0.000, 0.500)

Output
energy: -1.86 eV per atom
ΔH_f (0 K): 0.3 eV per formula unit
distance to the lowest polymorph of the same formula: 0.09 kcal/mol of atoms
space-group type: P-6m2
mass density: 1.99 Mg/m³

=====

# 3
A plane-wave DFT calculation with PBE was carried out for a geometry-optimized LiMg14Ni structure.

Cell lengths 9.789, 6.283, 6.283 Å; angles 61.12, 90.00, 90.00 degrees
Atoms (fractional coordinates):
Li (0.000, 0.000, 0.000)
Mg (0.000, 0.485, 0.992)
Mg (0.000, 0.992, 0.485)
Mg (0.229, 0.182, 0.665)
Mg (0.229, 0.665, 0.182)
Mg (0.239, 0.663, 0.663)
Mg (0.254, 0.167, 0.167)
Mg (0.500, 0.498, 0.498)
Mg (0.500, 0.504, 0.998)
Mg (0.500, 0.996, 0.996)
Mg (0.500, 0.998, 0.504)
Mg (0.746, 0.167, 0.167)
Mg (0.761, 0.663, 0.663)
Mg (0.771, 0.182, 0.665)
Mg (0.771, 0.665, 0.182)
Ni (0.000, 0.503, 0.503)

Output
energy: -1.87 eV per atom
ΔH_f (0 K): 0.2 eV per formula unit
distance to the lowest polymorph of the same formula: 0.00 kcal/mol of atoms
space-group type: Amm2
mass density: 1.99 Mg/m³

=====

Which of these has the highest mass density?
LiMg6Ni

=====

The lowest energy belongs to which entry?
LiMg6Ni

=====

Repeat the second record exactly.
A plane-wave DFT calculation with PBE was carried out for a geometry-optimized LiMg14Ni structure.

Cell lengths 6.335, 6.335, 9.754 Å; angles 90.00, 90.00, 120.00 degrees
Atoms (fractional coordinates):
Li (0.000, 0.000, 0.000)
Mg (0.003, 0.501, 0.000)
Mg (0.160, 0.319, 0.258)
Mg (0.160, 0.319, 0.742)
Mg (0.160, 0.840, 0.258)
Mg (0.160, 0.840, 0.742)
Mg (0.499, 0.501, 0.000)
Mg (0.499, 0.997, 0.000)
Mg (0.501, 0.003, 0.500)
Mg (0.501, 0.499, 0.500)
Mg (0.667, 0.333, 0.247)
Mg (0.667, 0.333, 0.753)
Mg (0.681, 0.840, 0.258)
Mg (0.681, 0.840, 0.742)
Mg (0.997, 0.499, 0.500)
Ni (0.000, 0.000, 0.500)

Output
energy: -1.86 eV per atom
ΔH_f (0 K): 0.3 eV per formula unit
distance to the lowest polymorph of the same formula: 0.09 kcal/mol of atoms
space-group type: P-6m2
mass density: 1.99 Mg/m³

=====

Which of these has the highest mass density?
LiMg6Ni